# 1
LiFeSiO4 | PBE with a Hubbard U | optimized geometry

Properties
The energy above the most stable polymorph in this dataset comes out at 57 meV/atom. The calculation puts the MP2020-corrected energy at -211.83 eV/cell. Its total magnetization is 5.00 μB/f.u. The calculation puts the formation energy from the elements at -2.480 eV per atom. The calculation puts the total energy at -191.82 eV for the cell shown.

Unit cell a=6.670 b=5.045 c=12.054 alpha=90.00 beta=122.92 gamma=90.00
Space group P2_1/c (No. 14)
Symmetry-distinct sites (fractional):
Li (0.160, 0.163, 0.149) [4 per cell]
Fe (0.335, 0.665, 0.332) [4 per cell]
Si (0.333, 0.661, 0.078) [4 per cell]
O (0.177, 0.749, 0.421) [4 per cell]
O (0.195, 0.735, 0.650) [4 per cell]
O (0.364, 0.163, 0.591) [4 per cell]
O (0.395, 0.205, 0.844) [4 per cell]


# 2
LiFeSiO4 | PBE with a Hubbard U | optimized geometry

Properties
The energy above the most stable polymorph in this dataset comes out at 10 meV/atom. The calculation puts the MP2020-corrected energy at -213.14 eV/cell. Its total magnetization is 0.00 μB/f.u. The calculation puts the formation energy from the elements at -2.527 eV per atom. The calculation puts the total energy at -193.13 eV for the cell shown.

Unit cell a=8.555 b=5.212 c=8.430 alpha=90.00 beta=107.74 gamma=90.00
Space group Pc (No. 7)
Symmetry-distinct sites (fractional):
Li (0.000, 0.165, 0.000) [2 per cell]
Li (0.520, 0.323, 0.672) [2 per cell]
Fe (0.270, 0.328, 0.906) [2 per cell]
Fe (0.756, 0.173, 0.237) [2 per cell]
Si (0.389, 0.180, 0.278) [2 per cell]
Si (0.885, 0.323, 0.626) [2 per cell]
O (0.049, 0.271, 0.783) [2 per cell]
O (0.233, 0.230, 0.110) [2 per cell]
O (0.362, 0.338, 0.436) [2 per cell]
O (0.414, 0.127, 0.820) [2 per cell]
O (0.550, 0.301, 0.233) [2 per cell]
O (0.733, 0.180, 0.675) [2 per cell]
O (0.849, 0.368, 0.097) [2 per cell]
O (0.904, 0.185, 0.458) [2 per cell]


# 3
LiFeSiO4 | PBE with a Hubbard U | optimized geometry

Properties
The energy above the most stable polymorph in this dataset comes out at 39 meV/atom. The calculation puts the MP2020-corrected energy at -636.96 eV/cell. Its total magnetization is 5.00 μB/f.u. The calculation puts the formation energy from the elements at -2.498 eV per atom. The calculation puts the total energy at -576.91 eV for the cell shown.

Unit cell a=18.762 b=8.223 c=5.531 alpha=90.00 beta=90.00 gamma=90.00
Space group Pna2_1 (No. 33)
Symmetry-distinct sites (fractional):
Li (0.082, 0.072, 0.000) [4 per cell]
Li (0.085, 0.575, 0.441) [4 per cell]
Li (0.248, 0.425, 0.969) [4 per cell]
Fe (0.002, 0.252, 0.463) [4 per cell]
Fe (0.165, 0.750, 0.978) [4 per cell]
Fe (0.169, 0.248, 0.485) [4 per cell]
Si (0.082, 0.402, 0.966) [4 per cell]
Si (0.084, 0.902, 0.478) [4 per cell]
Si (0.249, 0.096, 0.983) [4 per cell]
O (0.011, 0.514, 0.962) [4 per cell]
O (0.013, 0.017, 0.471) [4 per cell]
O (0.082, 0.275, 0.204) [4 per cell]
O (0.083, 0.777, 0.715) [4 per cell]
O (0.083, 0.778, 0.237) [4 per cell]
O (0.084, 0.278, 0.727) [4 per cell]
O (0.152, 0.516, 0.980) [4 per cell]
O (0.155, 0.014, 0.481) [4 per cell]
O (0.178, 0.983, 0.984) [4 per cell]
O (0.180, 0.482, 0.478) [4 per cell]
O (0.249, 0.224, 0.748) [4 per cell]
O (0.249, 0.718, 0.725) [4 per cell]